A plane-wave DFT calculation with PBE was carried out for crystalline NiI2 at its relaxed geometry.

Calculated values
DFT formation energy ... -0.380 eV/atom

Cell lengths 3.9500, 3.9500, 7.2448 Å; angles 74.18, 74.18, 60.00 degrees
Last column: nearest neighbours and their distance in Å.
Element x y z (fractional)
Ni: 0.0000 0.0000 0.0000  6 I 2.73
I: 0.2604 0.2604 0.2187  3 Ni 2.73
I: 0.7396 0.7396 0.7813  3 Ni 2.73

A plane-wave DFT calculation with PBE was carried out for crystalline N at its relaxed geometry.

Calculated values
DFT formation energy ... 0.007 eV/atom

Cell lengths 4.0619, 4.0619, 5.3382 Å; angles 90.00, 90.00, 90.00 degrees
Last column: nearest neighbours and their distance in Å.
Element x y z (fractional)
N: 0.9031 0.9031 0.0000  1 N 1.11
N: 0.5969 0.4031 0.5000  1 N 1.11
N: 0.0969 0.0969 0.0000  1 N 1.11
N: 0.4031 0.5969 0.5000  1 N 1.11

A plane-wave DFT calculation with PBE was carried out for crystalline Al2Cu2Bi2S3Cl8 at its relaxed geometry.

Calculated values
DFT formation energy ... -1.349 eV/atom

Cell lengths 6.6101, 6.6101, 23.4219 Å; angles 90.00, 90.00, 120.00 degrees
Last column: nearest neighbours and their distance in Å.
Element x y z (fractional)
Al: 0.6667 0.3333 0.5774  4 Cl 2.10-2.17
Al: 0.3333 0.6667 0.0774  4 Cl 2.10-2.17
Al: 0.3333 0.6667 0.4226  4 Cl 2.10-2.17
Al: 0.6667 0.3333 0.9226  4 Cl 2.10-2.17
Cu: 0.6667 0.3333 0.7500  3 S 2.28
Cu: 0.3333 0.6667 0.2500  3 S 2.28
Cu: 0.0000 0.0000 0.7500  3 S 2.28
Cu: 0.0000 0.0000 0.2500  3 S 2.28
Bi: 0.3333 0.6667 0.6753  3 S 2.70
Bi: 0.6667 0.3333 0.1753  3 S 2.70
Bi: 0.6667 0.3333 0.3247  3 S 2.70
Bi: 0.3333 0.6667 0.8247  3 S 2.70
S: 0.3326 0.9779 0.7500  2 Cu 2.28
S: 0.0221 0.3547 0.7500  2 Cu 2.28
S: 0.6453 0.6674 0.7500  2 Cu 2.28
S: 0.6674 0.0221 0.2500  2 Cu 2.28
S: 0.9779 0.6453 0.2500  2 Cu 2.28
S: 0.3547 0.3326 0.2500  2 Cu 2.28
Cl: 0.6667 0.3333 0.4875  1 Al 2.10
Cl: 0.3333 0.6667 0.9875  1 Al 2.10
Cl: 0.3333 0.6667 0.5125  1 Al 2.10
Cl: 0.6667 0.3333 0.0125  1 Al 2.10
Cl: 0.9087 0.6679 0.6150  1 Al 2.17
Cl: 0.3321 0.2408 0.6150  1 Al 2.17
Cl: 0.7592 0.0913 0.6150  1 Al 2.17
Cl: 0.0913 0.3321 0.1150  1 Al 2.17
Cl: 0.6679 0.7592 0.1150  1 Al 2.17
Cl: 0.2408 0.9087 0.1150  1 Al 2.17
Cl: 0.0913 0.3321 0.3850  1 Al 2.17
Cl: 0.6679 0.7592 0.3850  1 Al 2.17
Cl: 0.2408 0.9087 0.3850  1 Al 2.17
Cl: 0.9087 0.6679 0.8850  1 Al 2.17
Cl: 0.3321 0.2408 0.8850  1 Al 2.17
Cl: 0.7592 0.0913 0.8850  1 Al 2.17

A plane-wave DFT calculation with PBE was carried out for crystalline ScN at its relaxed geometry.

Calculated values
DFT formation energy ... -1.790 eV/atom

Cell lengths 3.4617, 3.4617, 3.4617 Å; angles 60.00, 60.00, 60.00 degrees
Last column: nearest neighbours and their distance in Å.
Element x y z (fractional)
Sc: 0.0000 0.0000 0.0000  4 N 2.12
N: 0.2500 0.2500 0.2500  4 Sc 2.12

Which of these has the highest DFT formation energy? N

Among the records above, which one has the lowest DFT formation energy? ScN

Which value of DFT formation energy does entry 2 give? 0.007 eV/atom

The lowest DFT formation energy belongs to which entry? ScN